First-principles (meta-GGA r2SCAN) data for crystalline Ga7Pd3 at its relaxed geometry, as listed in Materials Project.

ΔH_f (0 K), meV per atom: -411

abc: 8.7886 8.7886 8.7886
angles: 90.00 90.00 90.00
With the nearest neighbours (Å) after each atom.
Space group Im-3m (No. 229)
Inequivalent atoms, fractional coordinates:
Ga  0.0000  0.2500  0.5000 x12  4 Pd 2.59
Ga  0.1637  0.1637  0.1637 x16  3 Pd 2.58, 4 Ga 2.63-2.88
Pd  0.0000  0.0000  0.3438 x12  8 Ga 2.58-2.59, 1 Pd 2.75